First-principles (PBE) data for BaH2C4S4N2O9F12 after structural relaxation, as listed in Materials Project.

Cell lengths 8.7823, 22.8457, 13.2995 Å; angles 90.00, 131.30, 90.00 degrees
With the nearest neighbours (Å) after each atom.
Fractional positions:
Ba: 0.2090 0.2494 0.3411  9 O 2.76-2.94
Ba: 0.2090 0.2506 0.8411  9 O 2.76-2.94
Ba: 0.7910 0.7494 0.1589  9 O 2.76-2.94
Ba: 0.7910 0.7506 0.6589  9 O 2.76-2.94
H: 0.0402 0.7423 0.4940  1 O 0.97
H: 0.0402 0.7577 0.9940  1 O 0.97
H: 0.2005 0.7297 0.9916  1 O 0.97
H: 0.2005 0.7703 0.4916  1 O 0.97
H: 0.7995 0.2297 0.5084  1 O 0.97
H: 0.7995 0.2703 0.0084  1 O 0.97
H: 0.9598 0.2423 0.0060  1 O 0.97
H: 0.9598 0.2577 0.5060  1 O 0.97
C: 0.1982 0.5873 0.2902  3 F 1.35
C: 0.1982 0.9127 0.7902  3 F 1.35
C: 0.2188 0.0774 0.0716  3 F 1.35
C: 0.2188 0.4226 0.5716  3 F 1.35
C: 0.3367 0.5787 0.9216  3 F 1.35
C: 0.3367 0.9213 0.4216  3 F 1.35
C: 0.3532 0.0909 0.7137  3 F 1.35
C: 0.3532 0.4091 0.2137  3 F 1.35
C: 0.6468 0.5909 0.7863  3 F 1.35
C: 0.6468 0.9091 0.2863  3 F 1.35
C: 0.6633 0.0787 0.5784  3 F 1.35
C: 0.6633 0.4213 0.0784  3 F 1.35
C: 0.7812 0.5774 0.4284  3 F 1.35
C: 0.7812 0.9226 0.9284  3 F 1.35
C: 0.8018 0.0873 0.2098  3 F 1.35
C: 0.8018 0.4127 0.7098  3 F 1.35
S: 0.2940 0.6539 0.8497  2 O 1.45-1.46, 1 N 1.58
S: 0.2940 0.8461 0.3497  2 O 1.45-1.46, 1 N 1.58
S: 0.3251 0.1521 0.1474  2 O 1.45-1.46, 1 N 1.58
S: 0.3251 0.3479 0.6474  2 O 1.45-1.46, 1 N 1.58
S: 0.3268 0.6597 0.3229  2 O 1.45, 1 N 1.59
S: 0.3268 0.8403 0.8229  2 O 1.45, 1 N 1.59
S: 0.4160 0.1628 0.6789  2 O 1.45, 1 N 1.59
S: 0.4160 0.3372 0.1789  2 O 1.45, 1 N 1.59
S: 0.5840 0.6628 0.8211  2 O 1.45, 1 N 1.59
S: 0.5840 0.8372 0.3211  2 O 1.45, 1 N 1.59
S: 0.6732 0.1597 0.1771  2 O 1.45, 1 N 1.59
S: 0.6732 0.3403 0.6771  2 O 1.45, 1 N 1.59
S: 0.6749 0.6521 0.3526  2 O 1.45-1.46, 1 N 1.58
S: 0.6749 0.8479 0.8526  2 O 1.45-1.46, 1 N 1.58
S: 0.7060 0.1539 0.6503  2 O 1.45-1.46, 1 N 1.58
S: 0.7060 0.3461 0.1503  2 O 1.45-1.46, 1 N 1.58
N: 0.3617 0.6515 0.7655  2 S 1.58-1.59
N: 0.3617 0.8485 0.2655  2 S 1.58-1.59
N: 0.4383 0.6485 0.2673  2 S 1.58-1.59
N: 0.4383 0.8515 0.7673  2 S 1.58-1.59
N: 0.5617 0.1485 0.2327  2 S 1.58-1.59
N: 0.5617 0.3515 0.7327  2 S 1.58-1.59
N: 0.6383 0.1515 0.7345  2 S 1.58-1.59
N: 0.6383 0.3485 0.2345  2 S 1.58-1.59
O: 0.0660 0.7474 0.9354  2 H 0.97
O: 0.0660 0.7526 0.4354  2 H 0.97
O: 0.0760 0.6607 0.7580  1 S 1.45
O: 0.0760 0.8393 0.2580  1 S 1.45
O: 0.1578 0.6996 0.2339  1 S 1.45
O: 0.1578 0.8004 0.7339  1 S 1.45
O: 0.2160 0.1919 0.0336  1 S 1.46
O: 0.2160 0.3081 0.5336  1 S 1.46
O: 0.2603 0.1722 0.5355  1 S 1.45
O: 0.2603 0.3278 0.0355  1 S 1.45
O: 0.2896 0.1583 0.2388  1 S 1.45
O: 0.2896 0.3417 0.7388  1 S 1.45
O: 0.4124 0.6924 0.9659  1 S 1.46
O: 0.4124 0.8076 0.4659  1 S 1.46
O: 0.4246 0.2034 0.7665  1 S 1.45
O: 0.4246 0.2966 0.2665  1 S 1.45
O: 0.4575 0.6701 0.4658  1 S 1.45
O: 0.4575 0.8299 0.9658  1 S 1.45
O: 0.5425 0.1701 0.0342  1 S 1.45
O: 0.5425 0.3299 0.5342  1 S 1.45
O: 0.5754 0.7034 0.7335  1 S 1.45
O: 0.5754 0.7966 0.2335  1 S 1.45
O: 0.5876 0.1924 0.5341  1 S 1.46
O: 0.5876 0.3076 0.0341  1 S 1.46
O: 0.7104 0.6583 0.2612  1 S 1.45
O: 0.7104 0.8417 0.7612  1 S 1.45
O: 0.7397 0.6722 0.9645  1 S 1.45
O: 0.7397 0.8278 0.4645  1 S 1.45
O: 0.7840 0.6919 0.4664  1 S 1.46
O: 0.7840 0.8081 0.9664  1 S 1.46
O: 0.8422 0.1996 0.2661  1 S 1.45
O: 0.8422 0.3004 0.7661  1 S 1.45
O: 0.9240 0.1607 0.7420  1 S 1.45
O: 0.9240 0.3393 0.2420  1 S 1.45
O: 0.9340 0.2474 0.5646  2 H 0.97
O: 0.9340 0.2526 0.0646  2 H 0.97
F: 0.0194 0.0769 0.0064  1 C 1.35
F: 0.0194 0.4231 0.5064  1 C 1.35
F: 0.0706 0.5939 0.3134  1 C 1.35
F: 0.0706 0.9061 0.8134  1 C 1.35
F: 0.0909 0.5709 0.1620  1 C 1.35
F: 0.0909 0.9291 0.6620  1 C 1.35
F: 0.1821 0.0985 0.6938  1 C 1.35
F: 0.1821 0.4015 0.1938  1 C 1.35
F: 0.2375 0.5385 0.8227  1 C 1.35
F: 0.2375 0.9615 0.3227  1 C 1.35
F: 0.2442 0.0650 0.9842  1 C 1.35
F: 0.2442 0.4350 0.4842  1 C 1.35
F: 0.2676 0.5770 0.9868  1 C 1.35
F: 0.2676 0.9230 0.4868  1 C 1.35
F: 0.3139 0.0365 0.1688  1 C 1.35
F: 0.3139 0.4635 0.6688  1 C 1.35
F: 0.3213 0.0487 0.6309  1 C 1.35
F: 0.3213 0.4513 0.1309  1 C 1.35
F: 0.3348 0.5453 0.3717  1 C 1.35
F: 0.3348 0.9547 0.8717  1 C 1.35
F: 0.4630 0.0664 0.4914  1 C 1.35
F: 0.4630 0.4336 0.9914  1 C 1.35
F: 0.4955 0.5746 0.6586  1 C 1.35
F: 0.4955 0.9254 0.1586  1 C 1.35
F: 0.5045 0.0746 0.8414  1 C 1.35
F: 0.5045 0.4254 0.3414  1 C 1.35
F: 0.5370 0.5664 0.0086  1 C 1.35
F: 0.5370 0.9336 0.5086  1 C 1.35
F: 0.6652 0.0453 0.1283  1 C 1.35
F: 0.6652 0.4547 0.6283  1 C 1.35
F: 0.6787 0.5487 0.8691  1 C 1.35
F: 0.6787 0.9513 0.3691  1 C 1.35
F: 0.6861 0.5365 0.3312  1 C 1.35
F: 0.6861 0.9635 0.8312  1 C 1.35
F: 0.7324 0.0770 0.5132  1 C 1.35
F: 0.7324 0.4230 0.0132  1 C 1.35
F: 0.7558 0.5650 0.5158  1 C 1.35
F: 0.7558 0.9350 0.0158  1 C 1.35
F: 0.7625 0.0385 0.6773  1 C 1.35
F: 0.7625 0.4615 0.1773  1 C 1.35
F: 0.8179 0.5985 0.8062  1 C 1.35
F: 0.8179 0.9015 0.3062  1 C 1.35
F: 0.9091 0.0709 0.3380  1 C 1.35
F: 0.9091 0.4291 0.8380  1 C 1.35
F: 0.9294 0.0939 0.1866  1 C 1.35
F: 0.9294 0.4061 0.6866  1 C 1.35
F: 0.9806 0.5769 0.4936  1 C 1.35
F: 0.9806 0.9231 0.9936  1 C 1.35

energy of formation	-1655	meV/atom

***

First-principles (PBE) data for Ba2LaC3O9F after structural relaxation, as listed in Materials Project.

Cell lengths 6.7267, 5.1796, 13.3355 Å; angles 90.00, 102.50, 90.00 degrees
With the nearest neighbours (Å) after each atom.
Fractional positions:
Ba: 0.2151 0.2500 0.4250  3 F 2.76-2.93, 7 O 2.80-2.92
Ba: 0.2726 0.2500 0.0832  9 O 2.71-2.96
Ba: 0.7274 0.7500 0.9168  9 O 2.71-2.96
Ba: 0.7849 0.7500 0.5750  3 F 2.76-2.93, 7 O 2.80-2.92
La: 0.2266 0.2500 0.7384  1 F 2.43, 7 O 2.53-2.69
La: 0.7734 0.7500 0.2616  1 F 2.43, 7 O 2.53-2.69
C: 0.2154 0.7500 0.2274  3 O 1.29-1.30
C: 0.2542 0.7500 0.9266  3 O 1.29-1.30
C: 0.3316 0.7500 0.6280  3 O 1.29-1.31
C: 0.6684 0.2500 0.3720  3 O 1.29-1.31
C: 0.7458 0.2500 0.0734  3 O 1.29-1.30
C: 0.7846 0.2500 0.7726  3 O 1.29-1.30
O: 0.1225 0.5344 0.2380  1 C 1.30
O: 0.1225 0.9656 0.2380  1 C 1.30
O: 0.1352 0.7500 0.9904  1 C 1.29
O: 0.1918 0.7500 0.6829  1 C 1.31
O: 0.3209 0.5324 0.8971  1 C 1.30
O: 0.3209 0.9676 0.8971  1 C 1.30
O: 0.3904 0.7500 0.2023  1 C 1.29
O: 0.4012 0.5314 0.6038  1 C 1.29
O: 0.4012 0.9686 0.6038  1 C 1.29
O: 0.5988 0.0314 0.3962  1 C 1.29
O: 0.5988 0.4686 0.3962  1 C 1.29
O: 0.6096 0.2500 0.7977  1 C 1.29
O: 0.6791 0.0324 0.1029  1 C 1.30
O: 0.6791 0.4676 0.1029  1 C 1.30
O: 0.8082 0.2500 0.3171  1 C 1.31
O: 0.8648 0.2500 0.0096  1 C 1.29
O: 0.8775 0.0344 0.7620  1 C 1.30
O: 0.8775 0.4656 0.7620  1 C 1.30
F: 0.0136 0.7500 0.4265  1 La 2.43
F: 0.9864 0.2500 0.5735  1 La 2.43

energy of formation	-2859	meV/atom

***

First-principles (PBE) data for Ba3La2C5O15F2 after structural relaxation, as listed in Materials Project.

Cell lengths 11.1574, 11.1574, 13.4568 Å; angles 94.66, 94.66, 26.76 degrees
With the nearest neighbours (Å) after each atom.
Fractional positions:
Ba: 0.0000 0.0000 0.0000  12 O 2.99-3.03
Ba: 0.1863 0.1863 0.5954  7 O 2.76-2.94, 3 F 2.76-2.92
Ba: 0.3076 0.3076 0.9000  9 O 2.71-2.92
Ba: 0.5000 0.5000 0.5000  6 O 2.89-2.96, 6 F 3.01-3.05
Ba: 0.6924 0.6924 0.1000  9 O 2.71-2.92
Ba: 0.8137 0.8137 0.4046  7 O 2.76-2.94, 3 F 2.76-2.92
La: 0.1000 0.1000 0.3149  1 F 2.38, 3 O 2.49-2.57
La: 0.3944 0.3944 0.2118  1 F 2.41, 7 O 2.52-2.68
La: 0.6056 0.6056 0.7882  1 F 2.41, 7 O 2.52-2.68
La: 0.9000 0.9000 0.6851  1 F 2.38, 3 O 2.49-2.57
C: 0.0415 0.0415 0.6999  3 O 1.29-1.30
C: 0.1503 0.1503 0.9601  3 O 1.29-1.30
C: 0.2536 0.2536 0.2248  3 O 1.29-1.30
C: 0.3391 0.3391 0.5971  3 O 1.29-1.31
C: 0.4518 0.4518 0.8538  3 O 1.29-1.30
C: 0.5482 0.5482 0.1462  3 O 1.29-1.30
C: 0.6609 0.6609 0.4029  3 O 1.29-1.31
C: 0.7464 0.7464 0.7752  3 O 1.29-1.30
C: 0.8497 0.8497 0.0399  3 O 1.29-1.30
C: 0.9585 0.9585 0.3001  3 O 1.29-1.30
O: 0.0681 0.5006 0.2248  1 C 1.30
O: 0.0917 0.5296 0.5832  1 C 1.29
O: 0.0963 0.6609 0.0589  1 C 1.30
O: 0.0994 0.0994 0.7335  1 C 1.30
O: 0.1939 0.1939 0.2202  1 C 1.29
O: 0.2042 0.6403 0.8411  1 C 1.30
O: 0.2052 0.7696 0.3139  1 C 1.29
O: 0.2056 0.2056 0.0034  1 C 1.29
O: 0.2304 0.7948 0.6861  1 C 1.29
O: 0.3391 0.9037 0.9411  1 C 1.30
O: 0.3597 0.7958 0.1589  1 C 1.30
O: 0.3972 0.3972 0.6313  1 C 1.31
O: 0.4704 0.9083 0.4168  1 C 1.29
O: 0.4903 0.4903 0.1140  1 C 1.29
O: 0.4994 0.9319 0.7752  1 C 1.30
O: 0.5006 0.0681 0.2248  1 C 1.30
O: 0.5097 0.5097 0.8860  1 C 1.29
O: 0.5296 0.0917 0.5832  1 C 1.29
O: 0.6028 0.6028 0.3687  1 C 1.31
O: 0.6403 0.2042 0.8411  1 C 1.30
O: 0.6609 0.0963 0.0589  1 C 1.30
O: 0.7696 0.2052 0.3139  1 C 1.29
O: 0.7944 0.7944 0.9966  1 C 1.29
O: 0.7948 0.2304 0.6861  1 C 1.29
O: 0.7958 0.3597 0.1589  1 C 1.30
O: 0.8061 0.8061 0.7798  1 C 1.29
O: 0.9006 0.9006 0.2665  1 C 1.30
O: 0.9037 0.3391 0.9411  1 C 1.30
O: 0.9083 0.4704 0.4168  1 C 1.29
O: 0.9319 0.4994 0.7752  1 C 1.30
F: 0.0736 0.0736 0.4834  1 La 2.38
F: 0.3747 0.3747 0.3854  1 La 2.41
F: 0.6253 0.6253 0.6146  1 La 2.41
F: 0.9264 0.9264 0.5166  1 La 2.38

energy of formation	-2889	meV/atom